First-principles (r²SCAN) data for a relaxed Hg2IBr3 crystal, as listed in Materials Project.

For the energy of formation, the calculation gives -3.0 eV per formula unit. The value obtained for the calculated density is 5.77 g/cm³. The value obtained for the volume is 442 Å³ per cell. Its crystal system is monoclinic.

It has space group Cm (No. 8), with a = 7.0781 Å, b = 4.7597 Å, c = 13.1161 Å, α = 90.00°, β = 90.20° and γ = 90.00°. Symmetry generates all atoms from Hg at (0.0000, 0.0000, 0.0000), Hg at (0.1758, 0.5000, 0.5085), I at (0.4029, 0.0000, 0.3697), Br at (0.2358, 0.5000, 0.1240), Br at (0.2687, 0.0000, 0.8791) and Br at (0.4397, 0.5000, 0.6352).